First-principles (PBE) data for a geometry-optimized TbPbAu structure, as listed in Materials Project.

```
3
Lattice="-3.433 -3.433 0.000 -3.433 0.000 -3.433 0.000 -3.433 -3.433" Properties=species:S:1:pos:R:3 pbc="T T T"
Tb -3.433 -3.433 -3.433
Pb 0.000 0.000 0.000
Au -5.149 -5.149 -5.149
```

Formation enthalpy at 0 K = -0.687 eV per atom
V = 81 Å³/cell
Electronic total energy = -4.561 eV per atom
Space-group type = F-43m

=====

First-principles (PBE) data for a geometry-optimized NaCaTaSiS2O12 structure, as listed in Materials Project.

```
108
Lattice="-0.138 8.960 -1.117 -7.781 -4.582 0.139 -1.242 2.927 23.156" Properties=species:S:1:pos:R:3 pbc="T T T"
Na -8.484 5.631 10.459
Na -1.421 2.846 22.986
Na -3.563 7.011 18.440
Na -3.046 5.605 6.849
Na -5.233 0.499 3.438
Na -6.075 2.084 14.989
Ca -0.595 9.931 7.084
Ca -1.246 11.411 18.658
Ca -3.522 6.442 15.206
Ca -2.938 5.000 3.624
Ca -5.194 -0.001 0.190
Ca -5.906 1.512 11.756
Ta -8.618 6.128 14.030
Ta -0.361 0.444 3.396
Ta -3.921 7.311 22.016
Ta -3.280 5.837 10.441
Ta -5.674 0.875 6.988
Ta -6.198 2.284 18.578
Si -2.705 -0.601 5.926
Si -8.760 3.867 16.833
Si -5.672 4.808 12.909
Si -2.771 2.084 1.613
Si -4.035 1.295 21.300
Si -8.123 2.435 9.141
S -8.044 -1.243 5.617
S -5.957 3.770 5.115
S -3.278 3.409 17.101
S -6.495 -0.979 17.462
S -3.368 8.763 12.488
S -1.150 4.783 13.097
S -5.152 5.875 0.948
S -0.566 6.094 1.179
S -6.324 5.234 20.625
S -8.678 1.370 20.986
S -3.523 2.565 9.316
S -5.614 -1.444 9.710
O -0.463 2.709 6.760
O -6.606 4.465 6.208
O -2.011 8.905 6.001
O -2.567 3.353 18.362
O -7.298 7.608 17.570
O -1.174 9.562 17.759
O -8.521 4.789 15.285
O -2.559 2.664 16.002
O -7.318 -1.429 16.233
O -6.744 3.858 3.830
O -1.767 -0.065 4.465
O -7.768 -2.300 4.523
O -3.572 8.145 13.769
O -1.789 5.523 14.162
O -5.002 5.394 14.185
O -4.403 5.849 2.185
O -1.219 5.724 2.405
O -2.864 3.091 2.795
O -2.499 2.947 0.137
O -4.314 5.153 -0.160
O -1.388 5.670 -0.051
O -1.979 4.982 11.783
O -4.814 5.347 11.505
O -3.070 7.720 11.396
O -6.618 4.609 21.893
O -4.885 1.949 22.430
O -8.007 1.792 22.189
O -7.350 2.192 10.471
O -4.131 2.114 10.546
O -5.831 -0.531 10.803
O -5.374 -0.684 8.388
O -7.200 1.582 7.896
O -4.339 2.108 8.102
O -4.991 1.480 19.823
O -7.918 1.843 19.728
O -6.060 4.179 19.544
O -6.718 -2.369 9.552
O -8.409 3.969 8.857
O -2.141 2.140 9.243
O -2.551 1.850 21.235
O -8.856 -0.067 20.942
O -7.377 6.154 20.250
O -2.114 9.660 12.568
O -1.153 3.300 13.380
O -7.240 5.643 12.885
O -6.445 5.106 1.072
O -0.475 7.634 1.116
O -1.261 1.218 1.969
O -2.167 7.414 16.579
O -3.573 4.785 16.762
O -5.275 7.490 16.294
O -4.591 4.228 4.981
O -3.078 6.798 4.812
O -1.363 4.207 5.123
O -5.022 6.054 20.735
O -4.092 8.574 20.574
O -2.275 6.635 20.793
O -1.865 6.222 9.195
O -3.526 4.107 9.265
O -4.463 6.725 8.868
O -3.929 1.008 1.598
O -5.302 -1.717 1.684
O -7.004 0.974 1.241
O -7.566 0.654 13.059
O -5.975 3.259 13.000
O -4.356 0.630 13.223
O -6.757 -0.395 5.691
O -5.877 2.253 5.469
O -4.196 0.216 5.903
O -4.655 2.697 17.275
O -6.461 0.561 17.382
O -7.306 3.055 17.174
```

MP2020-corrected energy = -803.401 eV per cell
Formation enthalpy at 0 K = -2.536 eV per atom
V = 1659 Å³/cell
Electronic total energy = -6.981 eV per atom
Space-group type = Cc
Magnetic moment = 0.000 μB/atom

=====

First-principles (PBE) data for a geometry-optimized Ta2FeRu structure, as listed in Materials Project.

```
4
Lattice="-3.200 0.944 2.922 -2.457 3.657 -0.508 -4.259 -0.338 -1.190" Properties=species:S:1:pos:R:3 pbc="T T T"
Ta -2.479 1.066 0.306
Ta -7.438 3.197 0.918
Fe -4.958 2.132 0.612
Ru 0.000 0.000 0.000
```

Formation enthalpy at 0 K = -0.236 eV per atom
V = 62 Å³/cell
Electronic total energy = -10.601 eV per atom
Space-group type = Fm-3m
Magnetic moment = 0.406 μB/atom

=====

First-principles (PBE) data for a geometry-optimized Nb4Zn2P6S3O36 structure, as listed in Materials Project.

```
102
Lattice="-0.296 0.365 8.775 -5.502 -5.281 -4.366 15.142 -16.775 1.209" Properties=species:S:1:pos:R:3 pbc="T T T"
Nb 9.711 -10.758 0.776
Nb 2.140 -2.371 0.171
Nb 12.740 -17.882 5.575
Nb 5.169 -9.494 4.970
Nb -3.423 -3.780 0.042
Nb 4.148 -12.167 0.646
Nb 0.951 -8.626 0.391
Nb 8.522 -17.013 0.996
Zn 5.427 -6.012 0.433
Zn 12.998 -14.400 1.038
Zn 8.323 -12.988 5.222
Zn 0.752 -4.600 4.617
P 6.723 -11.232 7.588
P 8.469 -9.924 3.868
P 5.269 -12.814 3.849
P -2.387 -4.322 5.762
P 0.815 -1.434 5.719
P -0.680 -3.051 2.011
P 10.000 -18.688 3.651
P 11.791 -17.343 -0.120
P 8.537 -20.283 -0.163
P 0.879 -11.788 1.816
P 4.136 -8.853 1.748
P 2.599 -10.511 -2.010
S 3.687 -4.131 2.832
S -0.314 -7.696 3.475
S 1.934 -5.356 7.788
S 9.714 -14.001 2.212
S 7.174 -15.981 6.543
S 11.133 -12.364 7.155
O 4.377 -5.151 2.069
O -0.015 -8.969 4.099
O 3.307 -5.680 8.116
O 11.105 -14.347 2.005
O 7.510 -17.300 6.048
O 11.767 -13.315 8.045
O 4.982 -16.518 3.590
O 9.373 -12.706 1.476
O 5.997 -16.040 -2.495
O -1.800 -7.373 3.611
O 1.845 -4.371 -0.387
O -2.405 -8.357 -2.467
O 7.385 -12.362 6.883
O 8.881 -11.180 4.551
O 6.690 -13.192 4.071
O -0.955 -4.713 5.668
O 1.268 -2.742 5.172
O -0.071 -4.117 2.851
O -1.360 -1.899 2.799
O -2.760 -3.001 5.034
O -0.676 -1.090 5.455
O 6.964 -9.563 4.002
O 4.852 -11.439 4.438
O 6.101 -10.150 6.663
O 10.751 -19.740 2.791
O 12.056 -18.725 0.536
O 10.003 -20.600 0.238
O 2.367 -12.133 1.542
O 4.441 -10.284 1.228
O 3.288 -11.486 -1.018
O 1.951 -9.363 -1.144
O 0.569 -10.453 1.035
O 2.608 -8.582 1.464
O 10.248 -17.054 0.037
O 8.179 -18.889 0.482
O 9.414 -17.618 2.650
O 1.627 -11.206 -2.882
O 0.590 -11.699 3.264
O 5.031 -7.842 1.143
O 12.646 -16.284 0.458
O 8.346 -20.315 -1.630
O 8.969 -19.311 4.510
O 7.766 -10.503 8.535
O 8.798 -10.020 2.320
O 4.315 -13.910 4.484
O -3.299 -5.470 5.157
O 1.039 -1.400 7.288
O 0.426 -2.401 1.080
O 10.185 -12.987 6.261
O 9.364 -13.919 3.610
O 8.030 -14.950 6.003
O 0.507 -6.622 3.984
O 1.679 -5.392 6.367
O 2.680 -4.680 3.710
O 11.101 -17.953 4.492
O 11.756 -17.173 7.121
O 13.152 -16.070 4.934
O 5.542 -7.634 5.484
O 4.293 -8.919 3.308
O 3.461 -9.480 5.942
O -1.725 -3.660 1.034
O -2.525 -4.566 -1.526
O -3.811 -5.560 0.793
O 3.807 -14.004 0.021
O 4.936 -12.819 2.331
O 5.909 -12.126 -0.236
O -0.789 -8.640 -0.687
O -0.087 -7.816 1.958
O 1.298 -6.728 -0.292
O 8.827 -15.064 1.541
O 7.594 -16.339 -0.699
O 6.713 -16.943 1.951
```

MP2020-corrected energy = -789.644 eV per cell
Formation enthalpy at 0 K = -2.527 eV per atom
V = 1514 Å³/cell
Electronic total energy = -7.257 eV per atom
Space-group type = P3c1
Magnetic moment = 0.000 μB/atom

=====

First-principles (PBE) data for a geometry-optimized CaGa2 structure, as listed in Materials Project.

```
6
Lattice="-1.496 0.526 -4.218 3.024 2.879 1.694 5.477 -4.294 -2.478" Properties=species:S:1:pos:R:3 pbc="T T T"
Ca 4.108 -3.221 -1.859
Ca 1.369 -1.074 -0.620
Ga 6.763 -2.018 -2.650
Ga 2.517 -0.655 -3.381
Ga 0.243 1.129 -2.352
Ga 4.488 -0.234 -1.621
```

Formation enthalpy at 0 K = -0.519 eV per atom
V = 130 Å³/cell
Electronic total energy = -3.206 eV per atom
Space-group type = P6_3/mmc

=====

First-principles (PBE) data for a geometry-optimized Rb2CuCl4O2 structure, as listed in Materials Project.

```
18
Lattice="-5.170 0.617 -5.276 5.158 -1.174 -5.192 -1.477 -8.496 0.454" Properties=species:S:1:pos:R:3 pbc="T T T"
Rb 2.210 -2.711 -2.483
Rb 1.472 -6.959 -2.256
Rb -2.954 -1.816 -2.524
Rb -3.693 -6.064 -2.298
Cu 0.000 0.000 0.000
Cu -0.744 -4.527 -5.007
Cl -0.002 -0.118 -2.222
Cl -0.009 -0.439 -8.246
Cl 1.448 -4.907 -4.989
Cl -2.936 -4.146 -5.025
Cl 2.289 -0.676 -5.215
Cl -2.301 0.119 -5.253
Cl -0.748 -4.681 -7.915
Cl -0.741 -4.372 -2.099
O -0.302 -1.735 0.093
O -1.175 -6.761 0.361
O -1.046 -6.262 -4.914
O -0.443 -2.791 -5.100
```

MP2020-corrected energy = -61.143 eV per cell
Formation enthalpy at 0 K = -0.802 eV per atom
V = 474 Å³/cell
Electronic total energy = -3.244 eV per atom
Space-group type = P4_2/mnm
Magnetic moment = 0.333 μB/atom

=====

- formation enthalpy at 0 K of number 4 (Nb4Zn2P6S3O36)?
  -2.527 eV per atom

=====

- Which value of electronic total energy does entry 4 give?
  -7.257 eV per atom